DFT (GGA-PBE) results for a relaxed LiLuAu2 crystal.

```
data_LiLuAu2
_cell_length_a 6.7714
_cell_length_b 6.7714
_cell_length_c 6.7714
_cell_angle_alpha 90.00
_cell_angle_beta 90.00
_cell_angle_gamma 90.00
_space_group_name_H-M_alt 'F m -3 m'
_space_group_IT_number 225
_space_group_name_Hall '-F 4 2 3'
loop_
_atom_site_label
_atom_site_fract_x
_atom_site_fract_y
_atom_site_fract_z
_atom_site_occupancy
Li1 0.0000 0.0000 0.0000 1
Lu1 0.0000 0.0000 0.5000 1
Au1 0.2500 0.2500 0.2500 1
```

Computed properties:
Its energy of formation is -0.735 eV per atom. As for the total energy: -3.9796 eV/atom. For the volume, the calculation gives 19.4 A^3/atom.

DFT (GGA-PBE) results for a relaxed LiLu2Au crystal.

```
data_LiLu2Au
_cell_length_a 7.0539
_cell_length_b 7.0539
_cell_length_c 7.0539
_cell_angle_alpha 90.00
_cell_angle_beta 90.00
_cell_angle_gamma 90.00
_space_group_name_H-M_alt 'F m -3 m'
_space_group_IT_number 225
_space_group_name_Hall '-F 4 2 3'
loop_
_atom_site_label
_atom_site_fract_x
_atom_site_fract_y
_atom_site_fract_z
_atom_site_occupancy
Li1 0.0000 0.0000 0.0000 1
Lu1 0.2500 0.2500 0.2500 1
Au1 0.0000 0.0000 0.5000 1
```

Computed properties:
Its energy of formation is -0.447 eV per atom. The value obtained for the total magnetization is 0.00 Bohr magnetons per cell. As for the total energy: -4.0027 eV/atom. For the volume, the calculation gives 21.9 A^3/atom.

DFT (GGA-PBE) results for a relaxed LiNdAu2 crystal.

```
data_LiNdAu2
_cell_length_a 7.0760
_cell_length_b 7.0760
_cell_length_c 7.0760
_cell_angle_alpha 90.00
_cell_angle_beta 90.00
_cell_angle_gamma 90.00
_space_group_name_H-M_alt 'F m -3 m'
_space_group_IT_number 225
_space_group_name_Hall '-F 4 2 3'
loop_
_atom_site_label
_atom_site_fract_x
_atom_site_fract_y
_atom_site_fract_z
_atom_site_occupancy
Li1 0.0000 0.0000 0.0000 1
Nd1 0.0000 0.0000 0.5000 1
Au1 0.2500 0.2500 0.2500 1
```

Computed properties:
Its energy of formation is -0.664 eV per atom. As for the total energy: -3.9698 eV/atom. For the volume, the calculation gives 22.1 A^3/atom.

DFT (GGA-PBE) results for a relaxed Li2PbAu crystal.

```
data_Li2PbAu
_cell_length_a 6.7414
_cell_length_b 6.7414
_cell_length_c 6.7414
_cell_angle_alpha 90.00
_cell_angle_beta 90.00
_cell_angle_gamma 90.00
_space_group_name_H-M_alt 'F -4 3 m'
_space_group_IT_number 216
_space_group_name_Hall 'F -4 2 3'
loop_
_atom_site_label
_atom_site_fract_x
_atom_site_fract_y
_atom_site_fract_z
_atom_site_occupancy
Li1 0.0000 0.0000 0.0000 1
Li2 0.2500 0.2500 0.2500 1
Pb1 0.0000 0.0000 0.5000 1
Au1 0.2500 0.2500 0.7500 1
```

Computed properties:
Its energy of formation is -0.403 eV per atom. As for the total energy: -3.1039 eV/atom. For the volume, the calculation gives 19.1 A^3/atom.

DFT (GGA-PBE) results for a relaxed LiPdAu2 crystal.

```
data_LiPdAu2
_cell_length_a 6.3944
_cell_length_b 6.3944
_cell_length_c 6.3944
_cell_angle_alpha 90.00
_cell_angle_beta 90.00
_cell_angle_gamma 90.00
_space_group_name_H-M_alt 'F m -3 m'
_space_group_IT_number 225
_space_group_name_Hall '-F 4 2 3'
loop_
_atom_site_label
_atom_site_fract_x
_atom_site_fract_y
_atom_site_fract_z
_atom_site_occupancy
Li1 0.0000 0.0000 0.0000 1
Pd1 0.0000 0.0000 0.5000 1
Au1 0.2500 0.2500 0.2500 1
```

Computed properties:
Its energy of formation is -0.341 eV per atom. As for the total energy: -3.7501 eV/atom. For the volume, the calculation gives 16.3 A^3/atom.

DFT (GGA-PBE) results for a relaxed LiPrAu2 crystal.

```
data_LiPrAu2
_cell_length_a 7.1208
_cell_length_b 7.1208
_cell_length_c 7.1208
_cell_angle_alpha 90.00
_cell_angle_beta 90.00
_cell_angle_gamma 90.00
_space_group_name_H-M_alt 'F m -3 m'
_space_group_IT_number 225
_space_group_name_Hall '-F 4 2 3'
loop_
_atom_site_label
_atom_site_fract_x
_atom_site_fract_y
_atom_site_fract_z
_atom_site_occupancy
Li1 0.0000 0.0000 0.0000 1
Pr1 0.0000 0.0000 0.5000 1
Au1 0.2500 0.2500 0.2500 1
```

Computed properties:
Its energy of formation is -0.652 eV per atom. As for the total energy: -3.9615 eV/atom. For the volume, the calculation gives 22.6 A^3/atom.

DFT (GGA-PBE) results for a relaxed LiSc2Au crystal.

```
data_LiSc2Au
_cell_length_a 6.7822
_cell_length_b 6.7822
_cell_length_c 6.7822
_cell_angle_alpha 90.00
_cell_angle_beta 90.00
_cell_angle_gamma 90.00
_space_group_name_H-M_alt 'F m -3 m'
_space_group_IT_number 225
_space_group_name_Hall '-F 4 2 3'
loop_
_atom_site_label
_atom_site_fract_x
_atom_site_fract_y
_atom_site_fract_z
_atom_site_occupancy
Li1 0.0000 0.0000 0.0000 1
Sc1 0.2500 0.2500 0.2500 1
Au1 0.0000 0.0000 0.5000 1
```

Computed properties:
Its energy of formation is -0.431 eV per atom. As for the total energy: -4.8934 eV/atom. For the volume, the calculation gives 19.5 A^3/atom.

DFT (GGA-PBE) results for a relaxed LiSn4Au3 crystal.

```
data_LiSn4Au3
_cell_length_a 4.5920
_cell_length_b 4.5920
_cell_length_c 20.9485
_cell_angle_alpha 90.00
_cell_angle_beta 90.00
_cell_angle_gamma 120.00
_space_group_name_H-M_alt 'P 63 m c'
_space_group_IT_number 186
_space_group_name_Hall 'P 6c -2c'
loop_
_atom_site_label
_atom_site_fract_x
_atom_site_fract_y
_atom_site_fract_z
_atom_site_occupancy
Li1 0.3333 0.6667 0.0000 1
Sn1 0.0000 0.0000 0.0834 1
Sn2 0.0000 0.0000 0.3167 1
Sn3 0.3333 0.6667 0.4128 1
Sn4 0.3333 0.6667 0.6950 1
Au1 0.0000 0.0000 0.4525 1
Au2 0.3333 0.6667 0.1323 1
Au3 0.3333 0.6667 0.2721 1
```

Computed properties:
Its energy of formation is -0.282 eV per atom. As for the total energy: -3.7534 eV/atom. For the volume, the calculation gives 23.9 A^3/atom.

DFT (GGA-PBE) results for a relaxed LiSnAu2 crystal.

```
data_LiSnAu2
_cell_length_a 6.7098
_cell_length_b 6.7098
_cell_length_c 6.7098
_cell_angle_alpha 90.00
_cell_angle_beta 90.00
_cell_angle_gamma 90.00
_space_group_name_H-M_alt 'F m -3 m'
_space_group_IT_number 225
_space_group_name_Hall '-F 4 2 3'
loop_
_atom_site_label
_atom_site_fract_x
_atom_site_fract_y
_atom_site_fract_z
_atom_site_occupancy
Li1 0.0000 0.0000 0.0000 1
Sn1 0.0000 0.0000 0.5000 1
Au1 0.2500 0.2500 0.2500 1
```

Computed properties:
Its energy of formation is -0.389 eV per atom. As for the total energy: -3.5055 eV/atom. For the volume, the calculation gives 18.9 A^3/atom.

DFT (GGA-PBE) results for a relaxed LuAu4 crystal.

```
data_LuAu4
_cell_length_a 6.7510
_cell_length_b 6.7510
_cell_length_c 4.1830
_cell_angle_alpha 90.00
_cell_angle_beta 90.00
_cell_angle_gamma 90.00
_space_group_name_H-M_alt 'I 4/m'
_space_group_IT_number 87
_space_group_name_Hall '-I 4'
loop_
_atom_site_label
_atom_site_fract_x
_atom_site_fract_y
_atom_site_fract_z
_atom_site_occupancy
Lu1 0.0000 0.0000 0.0000 1
Au1 0.1001 0.7004 0.5000 1
```

Computed properties:
Its energy of formation is -0.604 eV per atom. As for the total energy: -4.1273 eV/atom. For the volume, the calculation gives 19.1 A^3/atom.

DFT (GGA-PBE) results for a relaxed LuAu3 crystal.

```
data_LuAu3
_cell_length_a 5.0120
_cell_length_b 6.0381
_cell_length_c 5.1625
_cell_angle_alpha 90.00
_cell_angle_beta 90.00
_cell_angle_gamma 90.00
_space_group_name_H-M_alt 'P m m n'
_space_group_IT_number 59
loop_
_space_group_symop_operation_xyz
'x,y,z'
'-x,-y,-z'
'-x+1/2,-y+1/2,z'
'x+1/2,y+1/2,-z'
'x+1/2,-y,-z'
'-x+1/2,y,z'
'-x,y+1/2,-z'
'x,-y+1/2,z'
loop_
_atom_site_label
_atom_site_fract_x
_atom_site_fract_y
_atom_site_fract_z
_atom_site_occupancy
Lu1 0.2500 0.2500 0.1544 1
Au1 0.2500 0.5024 0.6581 1
Au2 0.2500 0.7500 0.1553 1
```

Computed properties:
Its energy of formation is -0.722 eV per atom. As for the total energy: -4.3078 eV/atom. For the volume, the calculation gives 19.5 A^3/atom.

DFT (GGA-PBE) results for a relaxed LuAu crystal.

```
data_LuAu
_cell_length_a 3.5337
_cell_length_b 3.5337
_cell_length_c 3.5337
_cell_angle_alpha 90.00
_cell_angle_beta 90.00
_cell_angle_gamma 90.00
_space_group_name_H-M_alt 'P m -3 m'
_space_group_IT_number 221
_space_group_name_Hall '-P 4 2 3'
loop_
_atom_site_label
_atom_site_fract_x
_atom_site_fract_y
_atom_site_fract_z
_atom_site_occupancy
Lu1 0.0000 0.0000 0.0000 1
Au1 0.5000 0.5000 0.5000 1
```

Computed properties:
Its energy of formation is -0.905 eV per atom. As for the total energy: -4.8019 eV/atom. For the volume, the calculation gives 22.1 A^3/atom.

DFT (GGA-PBE) results for a relaxed LuAu2 crystal.

```
data_LuAu2
_cell_length_a 3.6828
_cell_length_b 3.6828
_cell_length_c 9.0178
_cell_angle_alpha 90.00
_cell_angle_beta 90.00
_cell_angle_gamma 90.00
_space_group_name_H-M_alt 'I 4/m m m'
_space_group_IT_number 139
_space_group_name_Hall '-I 4 2'
loop_
_atom_site_label
_atom_site_fract_x
_atom_site_fract_y
_atom_site_fract_z
_atom_site_occupancy
Lu1 0.0000 0.0000 0.0000 1
Au1 0.0000 0.0000 0.3367 1
```

Computed properties:
Its energy of formation is -0.892 eV per atom. As for the total energy: -4.5811 eV/atom. For the volume, the calculation gives 20.4 A^3/atom.

DFT (GGA-PBE) results for a relaxed Lu2Au crystal.

```
data_Lu2Au
_cell_length_a 7.0251
_cell_length_b 4.8468
_cell_length_c 8.7904
_cell_angle_alpha 90.00
_cell_angle_beta 90.00
_cell_angle_gamma 90.00
_space_group_name_H-M_alt 'P n m a'
_space_group_IT_number 62
loop_
_space_group_symop_operation_xyz
'x,y,z'
'-x,-y,-z'
'-x+1/2,-y,z+1/2'
'x+1/2,y,-z+1/2'
'x+1/2,-y+1/2,-z+1/2'
'-x+1/2,y+1/2,z+1/2'
'-x,y+1/2,-z'
'x,-y+1/2,z'
loop_
_atom_site_label
_atom_site_fract_x
_atom_site_fract_y
_atom_site_fract_z
_atom_site_occupancy
Lu1 0.0187 0.2500 0.1787 1
Lu2 0.1498 0.2500 0.5744 1
Au1 0.2451 0.2500 0.8955 1
```

Computed properties:
Its energy of formation is -0.676 eV per atom. As for the total energy: -4.7814 eV/atom. For the volume, the calculation gives 24.9 A^3/atom.

DFT (GGA-PBE) results for a relaxed LuNi4Au crystal.

```
data_LuNi4Au
_cell_length_a 6.9176
_cell_length_b 6.9176
_cell_length_c 6.9176
_cell_angle_alpha 90.00
_cell_angle_beta 90.00
_cell_angle_gamma 90.00
_space_group_name_H-M_alt 'F -4 3 m'
_space_group_IT_number 216
_space_group_name_Hall 'F -4 2 3'
loop_
_atom_site_label
_atom_site_fract_x
_atom_site_fract_y
_atom_site_fract_z
_atom_site_occupancy
Lu1 0.0000 0.0000 0.0000 1
Ni1 0.1247 0.1247 0.3753 1
Au1 0.2500 0.2500 0.7500 1
```

Computed properties:
Its energy of formation is -0.419 eV per atom. The value obtained for the total magnetization is 0.67 Bohr magnetons per cell. As for the total energy: -5.5716 eV/atom. For the volume, the calculation gives 13.8 A^3/atom.

DFT (GGA-PBE) results for a relaxed Lu2PdAu crystal.

```
data_Lu2PdAu
_cell_length_a 6.9578
_cell_length_b 6.9578
_cell_length_c 6.9578
_cell_angle_alpha 90.00
_cell_angle_beta 90.00
_cell_angle_gamma 90.00
_space_group_name_H-M_alt 'F m -3 m'
_space_group_IT_number 225
_space_group_name_Hall '-F 4 2 3'
loop_
_atom_site_label
_atom_site_fract_x
_atom_site_fract_y
_atom_site_fract_z
_atom_site_occupancy
Lu1 0.2500 0.2500 0.2500 1
Pd1 0.0000 0.0000 0.0000 1
Au1 0.0000 0.0000 0.5000 1
```

Computed properties:
Its energy of formation is -0.933 eV per atom. As for the total energy: -5.3074 eV/atom. For the volume, the calculation gives 21.1 A^3/atom.

DFT (GGA-PBE) results for a relaxed Lu2RuAu crystal.

```
data_Lu2RuAu
_cell_length_a 6.8524
_cell_length_b 6.8524
_cell_length_c 6.8524
_cell_angle_alpha 90.00
_cell_angle_beta 90.00
_cell_angle_gamma 90.00
_space_group_name_H-M_alt 'F m -3 m'
_space_group_IT_number 225
_space_group_name_Hall '-F 4 2 3'
loop_
_atom_site_label
_atom_site_fract_x
_atom_site_fract_y
_atom_site_fract_z
_atom_site_occupancy
Lu1 0.2500 0.2500 0.2500 1
Ru1 0.0000 0.0000 0.0000 1
Au1 0.0000 0.0000 0.5000 1
```

Computed properties:
Its energy of formation is -0.676 eV per atom. As for the total energy: -6.0736 eV/atom. For the volume, the calculation gives 20.1 A^3/atom.

DFT (GGA-PBE) results for a relaxed LuSiAu crystal.

```
data_LuSiAu
_cell_length_a 4.3229
_cell_length_b 4.3229
_cell_length_c 7.1739
_cell_angle_alpha 90.00
_cell_angle_beta 90.00
_cell_angle_gamma 120.00
_space_group_name_H-M_alt 'P -6 m 2'
_space_group_IT_number 187
_space_group_name_Hall 'P -6 2'
loop_
_atom_site_label
_atom_site_fract_x
_atom_site_fract_y
_atom_site_fract_z
_atom_site_occupancy
Lu1 0.0000 0.0000 0.0000 1
Lu2 0.0000 0.0000 0.5000 1
Si1 0.3333 0.6667 0.2115 1
Au1 0.6667 0.3333 0.2813 1
```

Computed properties:
Its energy of formation is -0.779 eV per atom. As for the total energy: -5.1862 eV/atom. For the volume, the calculation gives 19.3 A^3/atom.

DFT (GGA-PBE) results for a relaxed LuSnAu crystal.

```
data_LuSnAu
_cell_length_a 4.6670
_cell_length_b 4.6670
_cell_length_c 7.3871
_cell_angle_alpha 90.00
_cell_angle_beta 90.00
_cell_angle_gamma 120.00
_space_group_name_H-M_alt 'P 63 m c'
_space_group_IT_number 186
_space_group_name_Hall 'P 6c -2c'
loop_
_atom_site_label
_atom_site_fract_x
_atom_site_fract_y
_atom_site_fract_z
_atom_site_occupancy
Lu1 0.0000 0.0000 0.0000 1
Sn1 0.3333 0.6667 0.2293 1
Au1 0.3333 0.6667 0.8382 1
```

Computed properties:
Its energy of formation is -0.752 eV per atom. The value obtained for the total magnetization is 0.00 Bohr magnetons per cell. As for the total energy: -4.6873 eV/atom. For the volume, the calculation gives 23.2 A^3/atom.

DFT (GGA-PBE) results for a relaxed Lu2SnAu2 crystal.

```
data_Lu2SnAu2
_cell_length_a 8.2645
_cell_length_b 8.2645
_cell_length_c 3.4957
_cell_angle_alpha 90.00
_cell_angle_beta 90.00
_cell_angle_gamma 90.00
_space_group_name_H-M_alt 'P 4/m b m'
_space_group_IT_number 127
_space_group_name_Hall '-P 4 2ab'
loop_
_atom_site_label
_atom_site_fract_x
_atom_site_fract_y
_atom_site_fract_z
_atom_site_occupancy
Lu1 0.1579 0.3421 0.0000 1
Sn1 0.0000 0.0000 0.0000 1
Au1 0.1343 0.6343 0.5000 1
```

Computed properties:
Its energy of formation is -0.607 eV per atom. The value obtained for the total magnetization is 0.06 Bohr magnetons per cell. As for the total energy: -4.5271 eV/atom. For the volume, the calculation gives 23.9 A^3/atom.